1.
## Mg3H2S2O10 (PBE-GGA)

Data for a geometry-optimized Mg3H2S2O10 structure.

Cell lengths 7.4961, 7.4961, 5.1628 Å; angles 109.91, 109.91, 43.59 degrees
Last column: nearest neighbours and their distance in Å.
Element x y z (fractional)
Mg1 0.0000 0.0000 0.0000  6 O 2.12-2.14
Mg2 0.0000 0.5000 0.5000  6 O 2.07-2.11
Mg3 0.5000 0.0000 0.5000  6 O 2.07-2.11
H1 0.1034 0.1034 0.5194  1 O 0.98
H2 0.8966 0.8966 0.4806  1 O 0.98
S1 0.3771 0.3771 0.1198  4 O 1.47-1.51
S2 0.6229 0.6229 0.8802  4 O 1.47-1.51
O1 0.1319 0.1319 0.3725  1 H 0.98
O2 0.2165 0.6604 0.1790  1 S 1.47
O3 0.3065 0.3065 0.8178  1 S 1.51
O4 0.3101 0.3101 0.2905  1 S 1.50
O5 0.3396 0.7835 0.8210  1 S 1.47
O6 0.6604 0.2165 0.1790  1 S 1.47
O7 0.6899 0.6899 0.7095  1 S 1.50
O8 0.6935 0.6935 0.1822  1 S 1.51
O9 0.7835 0.3396 0.8210  1 S 1.47
O10 0.8681 0.8681 0.6275  1 H 0.98

Values from the calculation:
- Space-group type: C2/m (12)
- ΔH_f (0 K): -2.311 eV/atom
- Energy relative to the lowest polymorph listed for this composition: 0.012 eV per atom



2.
## Mg3H2S2O10 (PBE-GGA)

Data for a geometry-optimized Mg3H2S2O10 structure.

Cell lengths 7.5432, 7.5432, 13.1292 Å; angles 90.00, 90.00, 90.00 degrees
Last column: nearest neighbours and their distance in Å.
Element x y z (fractional)
Mg1 0.1022 0.3576 0.2432  6 O 2.04-2.22
Mg2 0.1275 0.1275 0.0000  6 O 2.04-2.14
Mg3 0.1424 0.6022 0.4932  6 O 2.04-2.22
Mg4 0.3576 0.1022 0.7568  6 O 2.04-2.22
Mg5 0.3725 0.6275 0.2500  6 O 2.04-2.14
Mg6 0.3978 0.8576 0.0068  6 O 2.04-2.22
Mg7 0.6022 0.1424 0.5068  6 O 2.04-2.22
Mg8 0.6275 0.3725 0.7500  6 O 2.04-2.14
Mg9 0.6424 0.8978 0.2568  6 O 2.04-2.22
Mg10 0.8576 0.3978 0.9932  6 O 2.04-2.22
Mg11 0.8725 0.8725 0.5000  6 O 2.04-2.14
Mg12 0.8978 0.6424 0.7432  6 O 2.04-2.22
H1 0.0979 0.8226 0.6378  1 O 0.98
H2 0.1774 0.9021 0.8622  1 O 0.98
H3 0.3226 0.4021 0.3878  1 O 0.98
H4 0.4021 0.3226 0.6122  1 O 0.98
H5 0.5979 0.6774 0.1122  1 O 0.98
H6 0.6774 0.5979 0.8878  1 O 0.98
H7 0.8226 0.0979 0.3622  1 O 0.98
H8 0.9021 0.1774 0.1378  1 O 0.98
S1 0.0017 0.7498 0.1260  4 O 1.47-1.50
S2 0.2498 0.4983 0.8760  4 O 1.47-1.50
S3 0.2502 0.9983 0.3740  4 O 1.47-1.50
S4 0.4983 0.2498 0.1240  4 O 1.47-1.50
S5 0.5017 0.7502 0.6240  4 O 1.47-1.50
S6 0.7498 0.0017 0.8740  4 O 1.47-1.50
S7 0.7502 0.5017 0.3760  4 O 1.47-1.50
S8 0.9983 0.2502 0.6260  4 O 1.47-1.50
O1 0.0087 0.7408 0.6112  1 H 0.98
O2 0.1088 0.3580 0.5576  1 S 1.47
O3 0.1098 0.1406 0.6928  1 S 1.47
O4 0.1179 0.6292 0.1879  1 S 1.50
O5 0.1228 0.8685 0.0663  1 S 1.50
O6 0.1292 0.3821 0.9379  1 S 1.50
O7 0.1315 0.8772 0.4337  1 S 1.50
O8 0.1406 0.1098 0.3072  1 S 1.47
O9 0.1420 0.6088 0.8076  1 S 1.47
O10 0.2408 0.4913 0.3612  1 H 0.98
O11 0.2592 0.9913 0.8888  1 H 0.98
O12 0.3580 0.1088 0.4424  1 S 1.47
O13 0.3594 0.6098 0.9428  1 S 1.47
O14 0.3685 0.3772 0.8163  1 S 1.50
O15 0.3708 0.8821 0.3121  1 S 1.50
O16 0.3772 0.3685 0.1837  1 S 1.50
O17 0.3821 0.1292 0.0621  1 S 1.50
O18 0.3902 0.6406 0.5572  1 S 1.47
O19 0.3912 0.8580 0.6924  1 S 1.47
O20 0.4913 0.2408 0.6388  1 H 0.98
O21 0.5087 0.7592 0.1388  1 H 0.98
O22 0.6088 0.1420 0.1924  1 S 1.47
O23 0.6098 0.3594 0.0572  1 S 1.47
O24 0.6179 0.8708 0.5621  1 S 1.50
O25 0.6228 0.6315 0.6837  1 S 1.50
O26 0.6292 0.1179 0.8121  1 S 1.50
O27 0.6315 0.6228 0.3163  1 S 1.50
O28 0.6406 0.3902 0.4428  1 S 1.47
O29 0.6420 0.8912 0.9424  1 S 1.47
O30 0.7408 0.0087 0.3888  1 H 0.98
O31 0.7592 0.5087 0.8612  1 H 0.98
O32 0.8580 0.3912 0.3076  1 S 1.47
O33 0.8594 0.8902 0.8072  1 S 1.47
O34 0.8685 0.1228 0.9337  1 S 1.50
O35 0.8708 0.6179 0.4379  1 S 1.50
O36 0.8772 0.1315 0.5663  1 S 1.50
O37 0.8821 0.3708 0.6879  1 S 1.50
O38 0.8902 0.8594 0.1928  1 S 1.47
O39 0.8912 0.6420 0.0576  1 S 1.47
O40 0.9913 0.2592 0.1112  1 H 0.98

Values from the calculation:
- Space-group type: P4_12_12 (92)
- ΔH_f (0 K): -2.323 eV/atom
- Energy relative to the lowest polymorph listed for this composition: 0.000 eV per atom



3.
## MgH2SO5 (PBE-GGA)

Data for a geometry-optimized MgH2SO5 structure.

Cell lengths 5.2043, 5.2043, 7.6571 Å; angles 106.50, 106.50, 97.85 degrees
Last column: nearest neighbours and their distance in Å.
Element x y z (fractional)
Mg1 0.0000 0.5000 0.0000  6 O 2.04-2.20
Mg2 0.5000 0.0000 0.5000  6 O 2.04-2.20
H1 0.0474 0.1335 0.7079  1 O 1.00
H2 0.1335 0.0474 0.2079  1 O 1.00
H3 0.8665 0.9526 0.7921  1 O 1.00
H4 0.9526 0.8665 0.2921  1 O 1.00
S1 0.4104 0.5896 0.7500  4 O 1.47-1.50
S2 0.5896 0.4104 0.2500  4 O 1.47-1.50
O1 0.1177 0.8823 0.2500  2 H 1.00
O2 0.2733 0.6678 0.8947  1 S 1.47
O3 0.2821 0.3256 0.1536  1 S 1.50
O4 0.3256 0.2821 0.6536  1 S 1.50
O5 0.3322 0.7267 0.6053  1 S 1.47
O6 0.6678 0.2733 0.3947  1 S 1.47
O7 0.6744 0.7179 0.3464  1 S 1.50
O8 0.7179 0.6744 0.8464  1 S 1.50
O9 0.7267 0.3322 0.1053  1 S 1.47
O10 0.8823 0.1177 0.7500  2 H 1.00

Values from the calculation:
- Space-group type: C2/c (15)
- ΔH_f (0 K): -2.058 eV/atom



4.
## MgH2S2O8 (PBE-GGA)

Data for a geometry-optimized MgH2S2O8 structure.

Cell lengths 5.0979, 10.6412, 9.6837 Å; angles 90.00, 117.42, 90.00 degrees
Last column: nearest neighbours and their distance in Å.
Element x y z (fractional)
Mg1 0.0000 0.0000 0.0000  6 O 2.03-2.16
Mg2 0.0000 0.5000 0.5000  6 O 2.03-2.16
H1 0.4912 0.1836 0.3223  1 O 0.99
H2 0.4912 0.3164 0.8223  1 O 0.99
H3 0.5088 0.6836 0.1777  1 O 0.99
H4 0.5088 0.8164 0.6777  1 O 0.99
S1 0.3080 0.1013 0.7715  2 O 1.47-1.48
S2 0.3080 0.3987 0.2715  2 O 1.47-1.48
S3 0.6920 0.6013 0.7285  2 O 1.47-1.48
S4 0.6920 0.8987 0.2285  2 O 1.47-1.48
O1 0.0677 0.0631 0.8068  1 S 1.47
O2 0.0677 0.4369 0.3068  1 S 1.47
O3 0.2593 0.1503 0.1055  1 O 1.45
O4 0.2593 0.3497 0.6055  1 O 1.45
O5 0.2774 0.1907 0.2523  1 H 0.99
O6 0.2774 0.3093 0.7523  1 H 0.99
O7 0.3997 0.6080 0.5901  1 S 1.48
O8 0.3997 0.8920 0.0901  1 S 1.48
O9 0.6003 0.1080 0.9099  1 S 1.48
O10 0.6003 0.3920 0.4099  1 S 1.48
O11 0.7226 0.6907 0.2477  1 H 0.99
O12 0.7226 0.8093 0.7477  1 H 0.99
O13 0.7407 0.6503 0.3945  1 O 1.45
O14 0.7407 0.8497 0.8945  1 O 1.45
O15 0.9323 0.5631 0.6932  1 S 1.47
O16 0.9323 0.9369 0.1932  1 S 1.47

Values from the calculation:
- Space-group type: P2_1/c (14)
- ΔH_f (0 K): -1.336 eV/atom
- Magnetization: 0.0 μB/f.u.